! FePHO5, optimized geometry, DFT GGA+U; values from VASP
&SYSTEM
  ibrav = 0, nat = 16, ntyp = 4
/
ATOMIC_SPECIES
Fe 55.84 Fe.upf
P 30.97 P.upf
H 1.01 H.upf
O 16.00 O.upf
CELL_PARAMETERS angstrom
5.254 0.000 0.000
-0.669 5.278 0.000
-2.446 -2.451 6.495
ATOMIC_POSITIONS crystal
Fe 0.000 0.000 0.000
Fe 0.000 0.000 0.500
P 0.333 0.652 0.271
P 0.667 0.348 0.729
H 0.351 0.028 0.826
H 0.649 0.972 0.174
O 0.122 0.681 0.377
O 0.145 0.967 0.773
O 0.290 0.807 0.119
O 0.291 0.346 0.161
O 0.367 0.235 0.565
O 0.633 0.765 0.435
O 0.709 0.654 0.839
O 0.710 0.193 0.881
O 0.855 0.033 0.227
O 0.878 0.319 0.623
! space-group type	No. 2
! total magnetization	4.00	μB per formula unit
! uncorrected energy	-6.4343	eV/atom